(1)
Density functional theory data (PBE+U) for a relaxed CaLaMnNbO6 crystal.

abc: 6.3156 6.0330 9.5835
angles: 51.00 90.00 90.00
With the nearest neighbours (Å) after each atom.
Fractional coordinates of all 20 atoms:
1 O 0.1044 0.7178 0.5655  1 Nb 1.99
2 O 0.3791 0.3248 0.5461  1 Mn 2.05, 1 Nb 2.05
3 O 0.2217 0.2832 0.2988  1 Nb 1.96, 1 Mn 2.04
4 O 0.6209 0.3248 0.0461  1 Mn 2.05, 1 Nb 2.05
5 O 0.7785 0.8032 0.3025  1 Nb 1.98, 1 Mn 2.05
6 Nb 0.3005 0.9905 0.5505  5 O 1.88-2.05
7 Ca 0.1570 0.1915 0.7978  6 O 2.35-2.61
8 Nb 0.6995 0.9905 0.0505  5 O 1.88-2.05
9 O 0.0720 0.2054 0.0402  1 Mn 2.13
10 Mn 0.6836 0.4412 0.5474  4 O 2.04-2.13
11 O 0.2215 0.8032 0.8025  1 Nb 1.98, 1 Mn 2.05
12 O 0.8956 0.7178 0.0655  1 Nb 1.99
13 La 0.8548 0.6852 0.7984  8 O 2.43-2.70
14 O 0.7783 0.2832 0.7988  1 Nb 1.96, 1 Mn 2.04
15 O 0.5708 0.8574 0.5529  1 Nb 1.88
16 La 0.1452 0.6852 0.2984  8 O 2.43-2.70
17 Ca 0.8430 0.1915 0.2978  6 O 2.35-2.61
18 O 0.4292 0.8574 0.0529  1 Nb 1.88
19 Mn 0.3164 0.4412 0.0474  4 O 2.04-2.13
20 O 0.9280 0.2054 0.5402  1 Mn 2.13

Computed properties:
Its symmetry is No. 7. The relative energy among the computed polymorphs comes out at 0.044 eV per atom. For the energy relative to the elements, the calculation gives -3.163 eV/atom.

(2)
Density functional theory data (PBE+U) for a relaxed MgCo4Ag4O8 crystal.

abc: 3.0506 3.0506 26.9021
angles: 90.44 89.56 119.44
With the nearest neighbours (Å) after each atom.
Fractional coordinates of all 17 atoms:
1 O 0.6624 0.3376 0.3485  3 Co 2.01-2.05, 1 Ag 2.10
2 O 0.6695 0.3305 0.1915  3 Co 1.94, 1 Ag 2.12
3 O 0.9907 0.0093 0.8878  3 Co 1.98-2.06
4 Co 0.3354 0.6646 0.1616  3 O 1.94
5 Ag 0.9994 0.0006 0.5018  2 O 2.10-2.11
6 O 0.3365 0.6635 0.6554  3 Co 2.01-2.05, 1 Ag 2.12
7 Ag 0.6632 0.3368 0.2704  2 O 2.10-2.12
8 Co 0.6681 0.3319 0.8506  6 O 1.98-2.06
9 O 0.9946 0.0054 0.0958  3 Mg 1.98-1.99
10 Co 0.3319 0.6681 0.3861  6 O 2.00-2.05
11 Ag 0.3407 0.6593 0.7341  2 O 2.11-2.12
12 O 0.0015 0.9985 0.4235  3 Co 2.00-2.05, 1 Ag 2.11
13 Ag 0.0035 0.9965 0.9704  1 O 2.22
14 O 0.9977 0.0023 0.5800  3 Co 2.01-2.05, 1 Ag 2.10
15 Mg 0.3306 0.6694 0.0618  3 O 1.98-1.99
16 Co 0.6669 0.3331 0.6177  6 O 2.01-2.05
17 O 0.3407 0.6593 0.8125  3 Co 2.01-2.06, 1 Ag 2.11

Computed properties:
Its symmetry is No. 8. The relative energy among the computed polymorphs comes out at 0.027 eV per atom. For the energy relative to the elements, the calculation gives -0.975 eV/atom.

(3)
Density functional theory data (PBE+U) for a relaxed MgCu3Mo4O12 crystal.

abc: 6.6582 6.6248 6.6323
angles: 109.35 109.60 109.62
With the nearest neighbours (Å) after each atom.
Fractional coordinates of all 20 atoms:
1 O 0.1703 0.6984 0.8667  1 Cu 1.99, 2 Mo 2.04-2.06
2 Mg 0.0000 0.0000 0.0000  12 O 2.64-2.67
3 Mo 0.5000 0.5000 0.5000  6 O 2.02-2.09
4 O 0.4724 0.1704 0.3045  1 Cu 1.98, 2 Mo 2.04-2.06
5 O 0.6959 0.8662 0.1696  1 Cu 1.98, 2 Mo 2.05
6 O 0.1650 0.2988 0.4737  1 Cu 1.99, 2 Mo 2.01-2.09
7 Cu 0.5000 0.0000 0.5000  4 O 1.98-1.99
8 O 0.5276 0.8296 0.6955  1 Cu 1.98, 2 Mo 2.04-2.06
9 O 0.8350 0.7012 0.5263  1 Cu 1.99, 2 Mo 2.01-2.09
10 Mo 0.5000 0.0000 0.0000  6 O 2.04-2.06
11 Cu 0.5000 0.5000 0.0000  4 O 1.98-2.00
12 Cu 0.0000 0.5000 0.5000  4 O 1.99
13 O 0.6945 0.5298 0.8275  1 Cu 2.00, 2 Mo 2.02-2.08
14 O 0.1332 0.8247 0.2990  1 Cu 1.99, 2 Mo 2.01-2.09
15 O 0.3041 0.1338 0.8304  1 Cu 1.98, 2 Mo 2.05
16 O 0.8668 0.1753 0.7010  1 Cu 1.99, 2 Mo 2.01-2.09
17 Mo 0.0000 0.0000 0.5000  6 O 2.01-2.09
18 O 0.8297 0.3016 0.1333  1 Cu 1.99, 2 Mo 2.04-2.06
19 Mo 0.0000 0.5000 0.0000  6 O 2.01-2.08
20 O 0.3055 0.4702 0.1725  1 Cu 2.00, 2 Mo 2.02-2.08

Computed properties:
Its symmetry is No. 2. The relative energy among the computed polymorphs comes out at 0.000 eV per atom. For the energy relative to the elements, the calculation gives -1.702 eV/atom.

(4)
Density functional theory data (PBE+U) for a relaxed MgTiVO4 crystal.

abc: 5.2339 5.2339 5.2339
angles: 133.37 133.35 68.09
With the nearest neighbours (Å) after each atom.
Fractional coordinates of all 7 atoms:
1 O 0.9885 0.4885 0.5000  1 Ti 1.97, 2 V 2.08, 2 Mg 2.08
2 O 0.7594 0.7594 0.0000  2 Ti 2.07, 1 Mg 2.15, 1 V 2.19
3 O 0.2646 0.2646 0.0000  2 Ti 2.07, 1 Mg 2.14, 1 V 2.19
4 O 0.5354 0.0354 0.5000  1 Ti 1.96, 2 Mg 2.08, 2 V 2.08
5 Ti 0.7619 0.2619 0.5000  6 O 1.96-2.07
6 V 0.0120 0.0120 0.0000  6 O 2.08-2.19
7 Mg 0.5117 0.5117 0.0000  6 O 2.08-2.15

Computed properties:
Its symmetry is No. 119. The relative energy among the computed polymorphs comes out at 0.029 eV per atom. For the energy relative to the elements, the calculation gives -2.880 eV/atom.

(5)
Density functional theory data (PBE+U) for a relaxed Li3Al2VO6 crystal.

abc: 7.8388 7.9064 7.9912
angles: 85.09 85.38 96.12
With the nearest neighbours (Å) after each atom.
Fractional coordinates of all 48 atoms:
1 V 0.7516 0.8313 0.8360  5 O 1.93-2.16
2 O 0.7454 0.1815 0.1535  2 Al 1.84-2.05, 1 V 1.95
3 Li 0.2534 0.3311 0.8356  5 O 1.98-2.20
4 O 0.4275 0.3165 0.0029  1 Al 1.79, 1 Li 1.99
5 V 0.2484 0.1687 0.1641  5 O 1.93-2.16
6 Li 0.9060 0.4903 0.6669  5 O 2.03-2.14
7 Li 0.4220 0.5065 0.1553  4 O 2.01-2.11
8 Al 0.0768 0.1633 0.5092  4 O 1.80-1.92
9 Al 0.4108 0.3266 0.5068  4 O 1.79-1.88
10 O 0.5814 0.4965 0.3563  2 Al 1.85-2.03, 1 V 1.97
11 V 0.2476 0.6676 0.6652  5 O 1.93-2.14
12 O 0.0752 0.5087 0.8508  2 Al 1.83-1.92
13 Al 0.5893 0.1734 0.9930  4 O 1.79-1.88
14 Li 0.7466 0.6689 0.1644  5 O 1.98-2.20
15 O 0.2451 0.6811 0.1492  2 Al 1.80-1.88, 1 Li 1.99
16 O 0.5815 0.9968 0.8563  2 Al 1.84-2.03, 1 V 1.97
17 Li 0.0940 0.5097 0.3331  5 O 2.03-2.14
18 O 0.5728 0.1839 0.4970  1 Al 1.79, 1 Li 1.98
19 O 0.9245 0.9913 0.6493  2 Al 1.83-1.92
20 O 0.0736 0.1803 0.0079  1 Al 1.80, 1 V 1.93
21 Li 0.4218 0.0062 0.6550  4 O 2.01-2.12
22 Al 0.9231 0.3366 0.9906  4 O 1.80-1.92
23 Li 0.7465 0.1692 0.6637  5 O 1.98-2.20
24 O 0.9257 0.3196 0.4917  1 Al 1.81, 1 V 1.93
25 O 0.9264 0.8197 0.9921  1 Al 1.80, 1 V 1.93
26 O 0.4272 0.8161 0.5030  1 Al 1.79, 1 Li 1.98
27 Al 0.4107 0.8266 0.0071  4 O 1.79-1.88
28 O 0.2542 0.3187 0.3465  2 Al 1.84-2.05, 1 V 1.96, 1 Li 2.07
29 O 0.2547 0.8185 0.8465  2 Al 1.84-2.05, 1 V 1.95
30 O 0.9248 0.4913 0.1492  2 Al 1.83-1.92
31 Al 0.0769 0.6634 0.0094  4 O 1.80-1.92
32 O 0.7549 0.8188 0.3507  2 Al 1.80-1.88, 1 Li 1.98
33 O 0.7458 0.6813 0.6535  2 Al 1.84-2.05, 1 V 1.96, 1 Li 2.07
34 Li 0.5780 0.4935 0.8447  4 O 2.01-2.11
35 O 0.2451 0.1812 0.6493  2 Al 1.80-1.88, 1 Li 1.98
36 V 0.7524 0.3323 0.3348  5 O 1.93-2.14
37 O 0.0755 0.0087 0.3507  2 Al 1.83-1.92
38 Al 0.9232 0.8367 0.4908  4 O 1.80-1.92
39 Al 0.5892 0.6734 0.4932  4 O 1.79-1.88
40 O 0.4186 0.5035 0.6437  2 Al 1.85-2.03, 1 V 1.97
41 Li 0.2535 0.8308 0.3363  5 O 1.98-2.20
42 Li 0.9058 0.9903 0.1672  5 O 2.03-2.14
43 Li 0.5782 0.9938 0.3450  4 O 2.01-2.12
44 O 0.0743 0.6804 0.5082  1 Al 1.81, 1 V 1.93
45 O 0.4185 0.0032 0.1437  2 Al 1.84-2.03, 1 V 1.97
46 Li 0.0942 0.0097 0.8328  5 O 2.03-2.14
47 O 0.7549 0.3189 0.8508  2 Al 1.80-1.88, 1 Li 1.99
48 O 0.5725 0.6835 0.9971  1 Al 1.79, 1 Li 1.99

Computed properties:
Its symmetry is No. 2. The relative energy among the computed polymorphs comes out at 0.039 eV per atom. For the energy relative to the elements, the calculation gives -2.820 eV/atom.

(6)
Density functional theory data (PBE+U) for a relaxed ZnFe2O4 crystal.

abc: 5.0785 5.0785 10.0565
angles: 90.00 90.00 146.40
With the nearest neighbours (Å) after each atom.
Fractional coordinates of all 14 atoms:
1 Fe 0.8685 0.1315 0.5739  6 O 2.00-2.11
2 O 0.7701 0.2299 0.1134  3 Fe 2.03-2.11
3 Zn 0.3874 0.6126 0.2500  2 O 2.06
4 O 0.9645 0.0355 0.7500  2 Fe 2.00, 2 Zn 2.06
5 O 0.5000 0.5000 0.5000  4 Fe 2.08
6 O 0.0355 0.9645 0.2500  2 Fe 2.00, 2 Zn 2.06
7 Fe 0.1315 0.8685 0.0739  6 O 2.00-2.11
8 O 0.5000 0.5000 0.0000  4 Fe 2.08
9 O 0.2299 0.7701 0.8866  3 Fe 2.03-2.11
10 Fe 0.8685 0.1315 0.9261  6 O 2.00-2.11
11 Zn 0.6126 0.3874 0.7500  2 O 2.06
12 Fe 0.1315 0.8685 0.4261  6 O 2.00-2.11
13 O 0.2299 0.7701 0.6134  3 Fe 2.03-2.11
14 O 0.7701 0.2299 0.3866  3 Fe 2.03-2.11

Computed properties:
Its symmetry is No. 63. The relative energy among the computed polymorphs comes out at 0.156 eV per atom. For the energy relative to the elements, the calculation gives -1.589 eV/atom.

(7)
Density functional theory data (PBE+U) for a relaxed Fe4SiO9 crystal.

abc: 15.6513 5.2967 5.3328
angles: 61.62 90.00 90.00
With the nearest neighbours (Å) after each atom.
Fractional coordinates of all 28 atoms:
1 O 0.4756 0.9664 0.6360  1 Si 1.62
2 O 0.3156 0.9971 0.0113  3 Fe 1.93-2.07
3 Fe 0.7562 0.3254 0.0034  5 O 1.92-2.13
4 O 0.7025 0.3255 0.6598  3 Fe 1.92-2.02
5 O 0.7019 0.0025 0.3545  3 Fe 1.90-2.03
6 O 0.9756 0.0336 0.3640  1 Si 1.62
7 O 0.3258 0.3214 0.3319  4 Fe 1.98-2.17
8 O 0.4832 0.4026 0.9712  1 Si 1.62
9 Fe 0.2561 0.3331 0.6689  6 O 2.00-2.13
10 Fe 0.2562 0.6746 0.9966  5 O 1.92-2.13
11 O 0.8156 0.0029 0.9887  3 Fe 1.93-2.07
12 Fe 0.2540 0.0134 0.3167  5 O 1.90-2.03
13 Fe 0.7540 0.9866 0.6833  5 O 1.90-2.03
14 O 0.2025 0.6745 0.3402  3 Fe 1.92-2.02
15 Fe 0.4526 0.3197 0.3336  4 O 1.83-1.98
16 O 0.6981 0.6415 0.0106  3 Fe 1.92-2.03
17 Si 0.4453 0.6564 0.6766  4 O 1.62-1.71
18 O 0.8258 0.6786 0.6681  4 Fe 1.98-2.17
19 O 0.8364 0.3521 0.3138  1 Si 1.71
20 Fe 0.7561 0.6669 0.3311  6 O 2.00-2.13
21 O 0.1981 0.3585 0.9894  3 Fe 1.92-2.03
22 O 0.4757 0.6176 0.4067  1 Si 1.62
23 O 0.9757 0.3824 0.5933  1 Si 1.62
24 O 0.3364 0.6479 0.6862  1 Si 1.71
25 O 0.9832 0.5974 0.0288  1 Si 1.62
26 Fe 0.9526 0.6803 0.6664  4 O 1.83-1.98
27 Si 0.9453 0.3436 0.3234  4 O 1.62-1.71
28 O 0.2019 0.9975 0.6455  3 Fe 1.90-2.03

Computed properties:
Its symmetry is No. 4. The relative energy among the computed polymorphs comes out at 0.000 eV per atom. For the energy relative to the elements, the calculation gives -1.722 eV/atom.

(8)
Density functional theory data (PBE+U) for a relaxed TiMnH12O6F6 crystal.

abc: 9.8775 14.6667 9.8665
angles: 70.32 60.02 89.86
With the nearest neighbours (Å) after each atom.
Fractional coordinates of all 104 atoms:
1 Mn 0.2500 0.7500 0.5000  6 O 2.19
2 F 0.2102 0.0440 0.4746  2 H 1.76-1.79, 1 Ti 1.90
3 F 0.4601 0.7940 0.9747  2 H 1.76-1.79, 1 Ti 1.90
4 H 0.4936 0.8284 0.5281  1 O 0.98
5 F 0.7310 0.7061 0.2281  2 H 1.76-1.78, 1 Ti 1.90
6 F 0.1840 0.4562 0.8339  2 H 1.77-1.78, 1 Ti 1.90
7 H 0.5455 0.6641 0.7148  1 O 0.98
8 O 0.5421 0.1573 0.5525  2 H 0.98
9 H 0.3570 0.8283 0.1492  1 O 0.98
10 H 0.7603 0.8357 0.1191  1 O 0.98
11 H 0.1070 0.0782 0.6493  1 O 0.98
12 F 0.6841 0.9564 0.8338  2 H 1.77-1.78, 1 Ti 1.90
13 F 0.5399 0.2060 0.0253  2 H 1.76-1.79, 1 Ti 1.90
14 F 0.9810 0.4561 0.7281  2 H 1.76-1.78, 1 Ti 1.90
15 F 0.0659 0.2936 0.6661  2 H 1.77-1.78, 1 Ti 1.90
16 H 0.6286 0.4143 0.5758  1 O 0.98
17 O 0.2919 0.4073 0.0525  2 H 0.98
18 H 0.5224 0.6715 0.3343  1 O 0.98
19 Mn 0.0000 0.0000 0.0000  6 O 2.19
20 O 0.4599 0.4076 0.2488  2 H 0.98
21 H 0.9936 0.3283 0.5281  1 O 0.98
22 O 0.7901 0.3424 0.2512  2 H 0.98
23 O 0.8437 0.0927 0.1156  2 H 0.98
24 H 0.0455 0.1641 0.7148  1 O 0.98
25 O 0.0938 0.8427 0.6156  2 H 0.98
26 O 0.7080 0.5927 0.9476  2 H 0.98
27 H 0.2955 0.9141 0.2148  1 O 0.98
28 O 0.9599 0.9076 0.2489  2 H 0.98
29 O 0.2080 0.0927 0.9475  2 H 0.98
30 O 0.9580 0.3427 0.4475  2 H 0.98
31 H 0.8713 0.0857 0.4242  1 O 0.98
32 F 0.2899 0.4560 0.5253  2 H 1.76-1.79, 1 Ti 1.90
33 H 0.0064 0.6717 0.4719  1 O 0.98
34 O 0.2099 0.6576 0.7488  2 H 0.98
35 O 0.7921 0.9073 0.0524  2 H 0.98
36 O 0.5401 0.5924 0.7512  2 H 0.98
37 F 0.9602 0.2941 0.9746  2 H 1.76-1.79, 1 Ti 1.90
38 F 0.0398 0.7060 0.0254  2 H 1.76-1.79, 1 Ti 1.90
39 H 0.8788 0.1643 0.0758  1 O 0.98
40 H 0.7044 0.0859 0.7852  1 O 0.98
41 H 0.7277 0.0785 0.1657  1 O 0.98
42 O 0.0401 0.0924 0.7512  2 H 0.98
43 H 0.2603 0.3357 0.1191  1 O 0.98
44 H 0.2397 0.1643 0.8809  1 O 0.98
45 H 0.0103 0.5857 0.6191  1 O 0.98
46 H 0.7436 0.5783 0.0281  1 O 0.98
47 F 0.0189 0.5439 0.2719  2 H 1.76-1.78, 1 Ti 1.90
48 H 0.2278 0.5785 0.1657  1 O 0.98
49 F 0.5659 0.7939 0.6661  2 H 1.77-1.78, 1 Ti 1.90
50 O 0.4064 0.6573 0.3844  2 H 0.98
51 F 0.8161 0.5438 0.1661  2 H 1.77-1.78, 1 Ti 1.90
52 Mn 0.7501 0.2500 0.5000  6 O 2.19
53 H 0.5103 0.0857 0.6191  1 O 0.98
54 H 0.4897 0.9143 0.3809  1 O 0.98
55 F 0.3157 0.0439 0.1661  2 H 1.77-1.78, 1 Ti 1.90
56 H 0.7722 0.4215 0.8343  1 O 0.98
57 F 0.4811 0.9561 0.7281  2 H 1.76-1.78, 1 Ti 1.90
58 O 0.7099 0.1576 0.7488  2 H 0.98
59 H 0.5064 0.1717 0.4719  1 O 0.98
60 H 0.3712 0.5857 0.4242  1 O 0.98
61 H 0.6070 0.5782 0.6493  1 O 0.98
62 O 0.9064 0.1573 0.3844  2 H 0.98
63 H 0.9897 0.4143 0.3809  1 O 0.98
64 F 0.7898 0.9560 0.5254  2 H 1.76-1.79, 1 Ti 1.90
65 F 0.9340 0.7064 0.3339  2 H 1.77-1.78, 1 Ti 1.90
66 F 0.7689 0.7939 0.7719  2 H 1.76-1.78, 1 Ti 1.90
67 O 0.1565 0.9073 0.8844  2 H 0.98
68 H 0.2436 0.0783 0.0281  1 O 0.98
69 H 0.9544 0.8359 0.2853  1 O 0.98
70 Mn 0.5000 0.5000 0.0000  6 O 2.19
71 O 0.2901 0.8424 0.2512  2 H 0.98
72 H 0.9778 0.8285 0.6656  1 O 0.98
73 Ti 0.6250 0.8751 0.7500  6 F 1.90
74 H 0.0223 0.1714 0.3343  1 O 0.98
75 F 0.7102 0.5441 0.4746  2 H 1.76-1.79, 1 Ti 1.90
76 O 0.5935 0.3427 0.6156  2 H 0.98
77 H 0.1214 0.8357 0.9242  1 O 0.98
78 H 0.8570 0.3283 0.1492  1 O 0.98
79 H 0.1288 0.9143 0.5758  1 O 0.98
80 H 0.6212 0.3357 0.9242  1 O 0.98
81 O 0.0420 0.6573 0.5524  2 H 0.98
82 F 0.2689 0.2939 0.7719  2 H 1.76-1.78, 1 Ti 1.90
83 Ti 0.3750 0.1250 0.2500  6 F 1.90
84 H 0.7564 0.9217 0.9719  1 O 0.98
85 O 0.3438 0.5927 0.1156  2 H 0.98
86 H 0.4775 0.3285 0.6656  1 O 0.98
87 H 0.1430 0.6718 0.8507  1 O 0.98
88 H 0.7955 0.4141 0.2148  1 O 0.98
89 H 0.4545 0.3359 0.2852  1 O 0.98
90 F 0.4343 0.2061 0.3338  2 H 1.77-1.78, 1 Ti 1.90
91 H 0.2564 0.4216 0.9719  1 O 0.98
92 Ti 0.8750 0.6250 0.2500  6 F 1.90
93 H 0.3930 0.4217 0.3507  1 O 0.98
94 O 0.4579 0.8427 0.4476  2 H 0.98
95 H 0.2045 0.5859 0.7853  1 O 0.98
96 H 0.6430 0.1718 0.8507  1 O 0.98
97 H 0.8930 0.9217 0.3508  1 O 0.98
98 O 0.6562 0.4073 0.8844  2 H 0.98
99 H 0.7397 0.6643 0.8809  1 O 0.98
100 H 0.2725 0.9215 0.8343  1 O 0.98
101 F 0.5190 0.0439 0.2719  2 H 1.76-1.78, 1 Ti 1.90
102 F 0.2310 0.2061 0.2281  2 H 1.76-1.78, 1 Ti 1.90
103 Ti 0.1249 0.3749 0.7500  6 F 1.90
104 H 0.3789 0.6643 0.0758  1 O 0.98

Computed properties:
The relative energy among the computed polymorphs comes out at 0.000 eV per atom. For the energy relative to the elements, the calculation gives -1.955 eV/atom.